[1]
Density functional theory data (PBE) for a geometry-optimized CrFeGe2 structure.

abc: 4.7102 4.7265 4.7389
angles: 89.91 90.00 90.00
Closest atoms and distances in Å follow each position.
Atoms (fractional coordinates):
Fe  0.3649  0.8618  0.3844  7 Ge 2.38-2.65
Ge  0.1558  0.8458  0.9037  3 Fe 2.38-2.65, 4 Cr 2.45-2.66
Ge  0.6558  0.1542  0.0963  3 Fe 2.38-2.65, 4 Cr 2.45-2.66
Ge  0.8426  0.6602  0.4100  3 Cr 2.42-2.65, 4 Fe 2.45-2.65
Cr  0.1367  0.3691  0.1092  7 Ge 2.42-2.66
Ge  0.3426  0.3398  0.5900  3 Cr 2.42-2.65, 4 Fe 2.45-2.65
Fe  0.8649  0.1382  0.6156  7 Ge 2.38-2.65
Cr  0.6367  0.6309  0.8908  7 Ge 2.42-2.66

- Space-group type: P2_1
- ΔH_f (0 K): -29.8 meV/atom
- Energy: -6.872 eV/atom
- V: 105.5 Å³/cell

***

[2]
Density functional theory data (PBE) for a geometry-optimized HoCr2Fe10 structure.

abc: 4.6747 6.3819 6.3819
angles: 97.32 111.48 68.52
Closest atoms and distances in Å follow each position.
Atoms (fractional coordinates):
Fe  0.5000  0.5000  0.0000  8 Fe 2.34-2.58, 2 Cr 2.59
Cr  0.0000  0.6323  0.6323  1 Cr 2.23
Fe  0.5000  0.0000  0.5000  8 Fe 2.34-2.58, 2 Cr 2.59
Fe  0.5000  0.2279  0.2279  8 Fe 2.40-2.69, 2 Cr 2.62
Fe  0.5000  0.7721  0.7721  8 Fe 2.40-2.69, 2 Cr 2.62
Fe  0.0000  0.5000  0.0000  8 Fe 2.34-2.58, 2 Cr 2.59
Fe  0.2748  0.2252  0.7748  8 Fe 2.42-2.69, 2 Cr 2.56
Cr  0.0000  0.3677  0.3677  1 Cr 2.23
Fe  0.6410  0.3590  0.6410  9 Fe 2.36-2.59
Fe  0.0000  0.0000  0.5000  8 Fe 2.34-2.58, 2 Cr 2.59
Fe  0.3590  0.6410  0.3590  9 Fe 2.36-2.59
Ho  0.0000  0.0000  0.0000  18 Fe 3.00-3.19, 2 Cr 3.10
Fe  0.7252  0.7748  0.2252  8 Fe 2.42-2.69, 2 Cr 2.56

- Space-group type: Immm
- ΔH_f (0 K): -0.1 meV/atom
- Energy: -8.353 eV/atom
- V: 164.8 Å³/cell

***

[3]
Density functional theory data (PBE) for a geometry-optimized LuCr2Fe10 structure.

abc: 4.6704 6.3476 6.3476
angles: 97.23 111.59 68.41
Closest atoms and distances in Å follow each position.
Atoms (fractional coordinates):
Lu  0.0000  0.0000  0.0000  18 Fe 2.98-3.17, 2 Cr 3.09
Fe  0.5000  0.5000  0.0000  8 Fe 2.34-2.56, 2 Cr 2.58
Fe  0.5000  0.7739  0.7739  8 Fe 2.39-2.65, 2 Cr 2.62
Fe  0.5000  0.0000  0.5000  8 Fe 2.34-2.56, 2 Cr 2.58
Fe  0.0000  0.0000  0.5000  8 Fe 2.34-2.56, 2 Cr 2.58
Cr  0.0000  0.3676  0.3676  1 Cr 2.22
Cr  0.0000  0.6324  0.6324  1 Cr 2.22
Fe  0.6416  0.3584  0.6416  9 Fe 2.35-2.59
Fe  0.2773  0.2227  0.7773  8 Fe 2.41-2.65, 2 Cr 2.56
Fe  0.0000  0.5000  0.0000  8 Fe 2.34-2.56, 2 Cr 2.58
Fe  0.7227  0.7773  0.2227  8 Fe 2.41-2.65, 2 Cr 2.56
Fe  0.3584  0.6416  0.3584  9 Fe 2.35-2.59
Fe  0.5000  0.2261  0.2261  8 Fe 2.39-2.65, 2 Cr 2.62

- Space-group type: Immm
- ΔH_f (0 K): -10.4 meV/atom
- Energy: -8.359 eV/atom
- V: 162.7 Å³/cell

***

[4]
Density functional theory data (PBE) for a geometry-optimized Mg14CrFe structure.

abc: 6.3276 6.3276 9.9118
angles: 90.00 90.00 120.00
Closest atoms and distances in Å follow each position.
Atoms (fractional coordinates):
Mg  0.1666  0.8333  0.1250  10 Mg 3.07-3.16, 2 Fe 3.16
Mg  0.8457  0.1729  0.8786  1 Fe 3.01, 10 Mg 3.05-3.28, 1 Cr 3.07
Mg  0.8457  0.1729  0.3714  1 Fe 3.01, 10 Mg 3.05-3.28, 1 Cr 3.07
Mg  0.6667  0.8333  0.1250  10 Mg 3.07-3.16, 2 Fe 3.16
Mg  0.8333  0.6667  0.8751  12 Mg 3.08-3.16
Mg  0.6658  0.8342  0.6250  10 Mg 3.08-3.18, 2 Cr 3.16
Mg  0.3271  0.1729  0.3714  1 Fe 3.01, 10 Mg 3.05-3.28, 1 Cr 3.07
Mg  0.3271  0.6543  0.3714  1 Fe 3.01, 10 Mg 3.05-3.28, 1 Cr 3.07
Mg  0.3271  0.1729  0.8786  1 Fe 3.01, 10 Mg 3.05-3.28, 1 Cr 3.07
Mg  0.6658  0.3317  0.6250  10 Mg 3.08-3.18, 2 Cr 3.16
Mg  0.8333  0.6667  0.3749  12 Mg 3.08-3.16
Mg  0.1683  0.8342  0.6250  10 Mg 3.08-3.18, 2 Cr 3.16
Cr  0.1667  0.3333  0.6250  12 Mg 3.07-3.16
Fe  0.1667  0.3333  0.1250  12 Mg 3.01-3.16
Mg  0.6667  0.3334  0.1250  10 Mg 3.07-3.16, 2 Fe 3.16
Mg  0.3271  0.6543  0.8786  1 Fe 3.01, 10 Mg 3.05-3.28, 1 Cr 3.07

- Space-group type: P-6m2
- ΔH_f (0 K): 147.9 meV/atom
- Energy: -2.385 eV/atom
- Offset from the most stable computed form: 0 meV/atom
- V: 343.7 Å³/cell

***

[5]
Density functional theory data (PBE) for a geometry-optimized Mg14CrFe structure.

abc: 6.2326 6.0809 9.8354
angles: 90.00 90.00 119.20
Closest atoms and distances in Å follow each position.
Atoms (fractional coordinates):
Mg  0.6635  0.3312  0.6250  12 Mg 3.03-3.27
Mg  0.1689  0.3345  0.6250  12 Mg 3.04-3.20
Mg  0.8459  0.6730  0.3696  1 Cr 2.92, 11 Mg 2.99-3.23
Mg  0.3225  0.6602  0.3515  1 Fe 2.84, 1 Cr 2.86, 5 Mg 2.94-3.05
Mg  0.3225  0.6602  0.8985  1 Fe 2.84, 1 Cr 2.86, 5 Mg 2.94-3.05
Fe  0.1558  0.3279  0.1250  8 Mg 2.84-3.04, 2 Cr 3.04
Mg  0.1701  0.8350  0.6250  12 Mg 3.04-3.20
Mg  0.6741  0.8350  0.1250  8 Mg 2.94-3.07, 2 Cr 3.00-3.24, 2 Fe 3.04-3.20
Mg  0.3225  0.1624  0.3515  1 Fe 2.84, 1 Cr 2.86, 5 Mg 2.94-3.05
Mg  0.8489  0.1744  0.3634  1 Fe 2.88, 9 Mg 2.96-3.15
Mg  0.6741  0.3391  0.1250  8 Mg 2.94-3.07, 2 Cr 3.00-3.24, 2 Fe 3.04-3.20
Cr  0.1503  0.8252  0.1250  8 Mg 2.86-3.00, 2 Fe 3.04
Mg  0.6635  0.8323  0.6250  12 Mg 3.03-3.27
Mg  0.8489  0.1744  0.8866  1 Fe 2.88, 9 Mg 2.96-3.15
Mg  0.3225  0.1624  0.8985  1 Fe 2.84, 1 Cr 2.86, 5 Mg 2.94-3.05
Mg  0.8459  0.6730  0.8804  1 Cr 2.92, 11 Mg 2.99-3.23

- Space-group type: Amm2
- ΔH_f (0 K): 237.2 meV/atom
- Energy: -2.296 eV/atom
- Offset from the most stable computed form: 89 meV/atom
- V: 325.4 Å³/cell

***

[6]
Density functional theory data (PBE) for a geometry-optimized Mg2CrFe3S8 structure.

abc: 7.0286 7.0409 7.0595
angles: 59.82 60.11 60.05
Closest atoms and distances in Å follow each position.
Atoms (fractional coordinates):
Cr  0.4999  0.9999  0.5001  6 S 2.40-2.41
S  0.2967  0.7230  0.7394  2 Fe 2.32, 1 Cr 2.40, 1 Mg 2.43
Fe  0.5000  0.5000  0.5000  6 S 2.31-2.32
S  0.7395  0.7244  0.2969  2 Fe 2.31, 1 Cr 2.41, 1 Mg 2.43
S  0.2590  0.2770  0.2607  2 Fe 2.32, 1 Cr 2.40, 1 Mg 2.43
Mg  0.1258  0.1238  0.1252  4 S 2.43-2.46
S  0.7319  0.3040  0.7326  3 Fe 2.32-2.33, 1 Mg 2.46
S  0.2681  0.6961  0.2674  3 Fe 2.32-2.33, 1 Mg 2.46
S  0.7033  0.2770  0.2606  2 Fe 2.32, 1 Cr 2.40, 1 Mg 2.43
Fe  0.0000  0.5000  0.5000  6 S 2.31-2.32
S  0.7410  0.7230  0.7392  2 Fe 2.32, 1 Cr 2.40, 1 Mg 2.43
Fe  0.5000  0.5000  0.0000  6 S 2.32-2.33
S  0.2605  0.2756  0.7031  2 Fe 2.31, 1 Cr 2.41, 1 Mg 2.43
Mg  0.8743  0.8762  0.8748  4 S 2.43-2.46

- Space-group type: C2/m
- ΔH_f (0 K): -926.2 meV/atom
- Energy: -5.736 eV/atom
- Energy with MP2020 corrections: -6.023 eV per atom
- V: 247.0 Å³/cell